The following is a GGA-PBE calculation of a geometry-optimized Li9Nd6Sb3TeO24 structure, from the Materials Project database.

a b c (Å): 11.102 11.103 11.137
angles (deg): 109.92 108.65 109.53
Space group P1 (No. 1)
Unique sites:
Li 0.000 0.000 0.000 x1
Li 0.006 0.924 0.581 x1
Li 0.047 0.488 0.632 x1
Li 0.117 0.166 0.786 x1
Li 0.125 0.506 0.886 x1
Li 0.287 0.163 0.730 x1
Li 0.350 0.223 0.329 x1
Li 0.369 0.614 0.493 x1
Li 0.436 0.258 0.546 x1
Li 0.499 0.245 0.743 x1
Li 0.502 0.748 0.248 x1
Li 0.567 0.114 0.833 x1
Li 0.627 0.124 0.241 x1
Li 0.651 0.978 0.876 x1
Li 0.717 0.440 0.880 x1
Li 0.856 0.734 0.347 x1
Li 0.901 0.656 0.017 x1
Li 0.972 0.584 0.462 x1
Nd 0.004 0.757 0.769 x1
Nd 0.113 0.983 0.356 x1
Nd 0.129 0.615 0.240 x1
Nd 0.371 0.121 0.008 x1
Nd 0.382 0.757 0.887 x1
Nd 0.494 0.982 0.489 x1
Nd 0.509 0.506 0.013 x1
Nd 0.617 0.499 0.367 x1
Nd 0.629 0.636 0.751 x1
Nd 0.863 0.109 0.483 x1
Nd 0.889 0.244 0.876 x1
Nd 0.991 0.245 0.238 x1
Sb 0.252 0.869 0.627 x1
Sb 0.254 0.376 0.126 x1
Sb 0.257 0.875 0.130 x1
Sb 0.744 0.868 0.618 x1
Sb 0.750 0.869 0.122 x1
Sb 0.752 0.373 0.120 x1
Te 0.246 0.368 0.620 x1
Te 0.749 0.370 0.616 x1
O 0.052 0.199 0.036 x1
O 0.056 0.335 0.496 x1
O 0.070 0.806 0.446 x1
O 0.088 0.786 0.162 x1
O 0.132 0.178 0.609 x1
O 0.135 0.452 0.030 x1
O 0.148 0.700 0.654 x1
O 0.162 0.957 0.015 x1
O 0.167 0.701 0.927 x1
O 0.182 0.986 0.748 x1
O 0.220 0.457 0.293 x1
O 0.245 0.248 0.444 x1
O 0.250 0.488 0.797 x1
O 0.292 0.291 0.954 x1
O 0.319 0.773 0.497 x1
O 0.337 0.050 0.333 x1
O 0.346 0.791 0.242 x1
O 0.355 0.052 0.614 x1
O 0.369 0.556 0.643 x1
O 0.370 0.293 0.209 x1
O 0.425 0.966 0.098 x1
O 0.427 0.950 0.821 x1
O 0.430 0.377 0.738 x1
O 0.454 0.549 0.209 x1
O 0.550 0.748 0.093 x1
O 0.567 0.297 0.934 x1
O 0.576 0.671 0.543 x1
O 0.578 0.390 0.523 x1
O 0.625 0.277 0.190 x1
O 0.629 0.834 0.922 x1
O 0.643 0.261 0.691 x1
O 0.656 0.897 0.449 x1
O 0.669 0.997 0.716 x1
O 0.676 0.181 0.451 x1
O 0.718 0.540 0.210 x1
O 0.727 0.666 0.001 x1
O 0.769 0.194 0.014 x1
O 0.773 0.067 0.237 x1
O 0.815 0.556 0.792 x1
O 0.835 0.755 0.529 x1
O 0.840 0.846 0.794 x1
O 0.857 0.495 0.557 x1
O 0.868 0.897 0.322 x1
O 0.872 0.467 0.037 x1
O 0.918 0.352 0.713 x1
O 0.920 0.061 0.689 x1
O 0.947 0.452 0.286 x1
O 0.950 0.991 0.151 x1

Calculated values
* calculated density: 5.7 g cm⁻³
* total moment: 0.0 μB per formula unit

***

The following is a GGA-PBE calculation of a geometry-optimized H3PbCI3NF3 structure, from the Materials Project database.

a b c (Å): 6.467 6.477 6.559
angles (deg): 90.00 91.15 90.00
Space group Pm (No. 6)
Unique sites:
H 0.000 0.000 0.000 x1
H 0.961 0.134 0.781 x2
Pb 0.704 0.500 0.290 x1
C 0.257 0.000 0.802 x1
I 0.228 0.500 0.318 x1
I 0.771 0.000 0.306 x1
I 0.787 0.500 0.785 x1
N 0.032 0.000 0.842 x1
F 0.285 0.000 0.600 x1
F 0.342 0.170 0.883 x2

Calculated values
* calculated density: 4.1 g cm⁻³
* total moment: 0.0 μB per formula unit
* maximum piezoelectric response: 1.8 C/m²

***

The following is a GGA-PBE calculation of a geometry-optimized YTi2S4 structure, from the Materials Project database.

a b c (Å): 7.449 7.449 11.150
angles (deg): 90.00 90.00 90.00
Space group I4_1/amd (No. 141, origin choice 2)
Unique sites:
Y 0.000 0.250 0.375 x4
Ti 0.000 0.000 0.000 x8
S 0.000 0.019 0.771 x16

Calculated values
* calculated density: 3.4 g cm⁻³
* offset from the most stable computed form: 182 meV per atom
* total moment: 2.9 μB per formula unit

***

The following is a GGA-PBE calculation of a geometry-optimized Ba3Y2F12 structure, from the Materials Project database.

a b c (Å): 10.768 10.423 15.077
angles (deg): 90.00 134.18 90.00
Space group P2_1/c (No. 14)
Unique sites:
Ba 0.146 0.115 0.172 x4
Ba 0.172 0.510 0.979 x4
Ba 0.270 0.716 0.298 x4
Y 0.239 0.147 0.926 x4
Y 0.460 0.658 0.658 x4
F 0.062 0.202 0.304 x4
F 0.068 0.647 0.066 x4
F 0.098 0.069 0.969 x4
F 0.140 0.019 0.778 x4
F 0.218 0.552 0.829 x4
F 0.227 0.713 0.465 x4
F 0.275 0.118 0.680 x4
F 0.295 0.601 0.683 x4
F 0.387 0.207 0.571 x4
F 0.401 0.232 0.898 x4
F 0.461 0.023 0.075 x4
F 0.484 0.641 0.202 x4

Calculated values
* calculated density: 4.5 g cm⁻³
* offset from the most stable computed form: 60 meV per atom
* total moment: 0.0 μB per formula unit

***

V
In order: 530.4 274.7 154.7 303.4
Unit: Å³/f.u.
DFT formation energy
In order: -2.73 -0.94 -1.68 -4.23
Unit: eV per atom